# 1
# SiB2H50C21N2

An optimized crystal structure of SiB2H50C21N2 (PBE, Materials Project).

Cell and atoms, written as POSCAR:
```
SiB2H50C21N2
1.0
0.000 10.642 0.000
0.000 0.000 14.366
19.448 0.000 0.000
H C N B Si
200 84 8 8 4
Cartesian
10.114 5.827 10.973
14.449 9.285 7.726
6.359 7.375 0.598
13.218 9.834 9.312
5.582 5.082 7.977
3.643 3.774 13.087
1.576 8.390 5.777
5.397 3.448 7.306
13.813 5.197 12.846
9.279 2.716 10.741
11.747 2.626 8.767
16.357 0.699 0.796
9.316 8.039 7.194
11.731 9.137 3.040
17.090 2.314 0.869
6.089 10.022 3.181
8.293 0.136 12.172
11.589 6.140 11.885
10.594 2.943 2.928
7.182 7.671 9.536
4.142 10.402 0.795
15.215 1.635 9.058
14.050 7.193 0.123
13.970 2.670 5.650
0.444 8.037 3.558
13.336 2.897 9.495
12.991 3.676 13.216
10.404 6.821 0.917
10.168 7.925 3.558
2.419 7.359 12.558
4.998 1.357 0.543
2.023 2.695 8.767
16.625 10.089 12.827
15.748 6.946 7.680
11.805 0.236 9.589
10.560 5.462 14.151
3.700 3.696 0.497
10.318 1.484 11.491
2.823 0.553 5.645
4.448 1.572 11.898
5.228 10.344 6.818
8.794 1.573 0.561
6.230 0.807 2.129
11.701 8.804 14.266
1.480 0.367 4.501
3.612 2.423 9.495
16.192 2.947 11.131
0.720 2.133 11.985
7.366 3.007 0.869
6.587 5.766 11.084
15.359 10.518 5.663
3.137 0.446 3.901
0.354 4.434 13.930
14.157 2.868 3.898
6.456 6.966 6.033
18.578 8.264 10.111
2.081 5.085 9.589
13.311 7.215 5.835
14.999 9.070 4.715
1.851 3.859 2.986
13.607 1.316 4.564
8.243 5.688 11.683
13.193 9.978 3.545
10.078 0.887 13.930
0.768 0.646 7.535
5.841 9.326 11.746
15.812 5.940 3.181
4.326 8.769 0.123
5.635 5.445 5.663
7.858 4.502 4.702
0.408 2.718 0.011
3.469 5.984 3.545
0.836 10.500 14.151
12.081 7.634 8.051
15.861 1.894 13.018
15.954 4.514 2.129
11.042 7.316 10.687
8.956 5.967 0.352
16.311 10.196 11.084
17.871 2.252 12.960
14.952 5.619 6.818
6.024 9.017 7.680
6.112 7.744 2.313
18.716 6.662 0.186
6.633 4.622 0.796
10.654 9.068 7.744
15.306 0.239 7.977
11.300 7.572 5.777
2.007 6.825 3.040
18.518 3.748 0.561
5.477 7.972 12.833
3.267 1.645 13.216
8.888 5.180 6.968
6.901 5.874 12.827
16.083 8.588 0.598
6.255 0.663 10.728
13.367 1.547 13.087
0.681 9.141 0.917
18.679 9.995 0.352
10.444 3.188 11.985
13.866 5.560 0.795
10.995 9.862 13.032
11.204 4.954 4.501
4.496 5.023 14.001
4.726 6.677 7.726
1.431 5.457 4.989
17.471 3.484 7.084
1.271 6.100 13.032
18.767 1.500 8.100
14.219 0.298 14.001
17.029 3.282 5.376
5.491 3.686 9.058
6.468 2.374 11.131
0.732 3.979 7.369
3.883 4.005 4.564
9.369 9.755 6.747
12.861 4.875 3.901
9.129 9.158 4.308
8.147 3.069 12.960
15.121 1.872 7.306
1.318 8.646 10.687
15.561 1.987 1.710
4.233 9.007 1.875
13.611 7.308 8.892
7.716 1.504 10.223
5.837 3.334 1.710
16.180 8.996 6.033
3.256 7.694 3.949
3.365 2.054 7.781
17.367 5.556 2.406
8.992 9.300 0.186
5.291 7.773 11.081
17.425 7.947 1.584
0.390 10.135 10.973
18.853 6.805 4.308
7.747 1.837 7.084
17.440 3.817 10.223
7.305 2.038 5.376
4.433 2.453 3.898
17.596 6.782 10.169
15.201 7.991 12.833
18.176 4.541 5.849
8.406 3.325 3.504
6.081 9.094 5.904
10.132 2.603 0.011
18.611 0.141 6.968
0.870 2.378 2.928
11.155 10.506 4.989
15.015 8.189 11.081
5.275 6.892 4.715
12.980 8.268 3.949
12.547 4.768 5.645
13.424 1.625 0.497
17.582 0.819 4.702
12.266 2.971 2.353
12.815 6.020 7.979
10.456 1.341 7.369
9.334 4.815 3.790
12.143 8.603 12.558
3.635 4.701 10.364
19.093 6.208 6.747
15.805 6.868 5.904
2.542 2.350 2.353
16.905 8.291 9.536
3.587 8.747 5.835
13.089 3.267 7.781
3.091 9.942 7.979
4.089 0.124 12.846
14.722 3.964 0.543
19.003 2.604 10.741
4.246 2.651 5.650
3.494 6.128 9.312
1.977 7.158 14.266
13.957 6.956 1.875
3.887 8.654 8.892
19.058 0.506 3.790
10.492 4.674 7.535
15.565 6.637 11.746
19.040 7.924 7.194
18.727 8.509 4.802
11.575 1.461 2.986
7.872 9.180 10.169
14.172 3.749 11.898
6.137 3.426 13.018
0.930 6.894 7.744
18.129 1.995 3.504
15.978 4.657 10.728
17.967 10.275 11.683
9.043 3.820 8.100
7.643 10.406 2.406
8.453 0.780 5.849
7.701 8.016 1.584
8.854 7.698 10.111
0.594 3.837 11.491
2.358 8.328 8.051
1.865 9.823 11.885
13.359 0.619 10.364
18.017 5.185 12.172
9.003 7.453 4.802
15.835 8.218 2.313
5.589 3.135 13.932
17.862 3.510 6.056
9.459 1.785 14.080
15.089 3.724 13.898
4.135 8.456 6.749
14.083 9.044 6.715
9.738 2.401 11.686
6.994 1.410 11.046
2.378 2.393 4.528
11.310 8.831 13.239
2.044 6.356 5.194
13.537 2.403 4.678
17.404 4.285 12.377
11.767 9.606 5.194
4.283 3.945 13.961
5.911 8.238 11.861
14.820 1.207 8.126
8.138 1.811 6.056
5.493 6.532 5.730
1.875 2.770 3.120
2.730 6.731 3.864
10.741 8.508 5.608
5.096 4.114 8.126
6.413 3.544 0.793
15.164 6.697 6.778
12.174 4.468 4.657
3.562 4.196 8.252
16.718 3.911 11.046
3.311 8.864 7.976
16.346 7.882 1.399
7.849 8.091 10.303
14.007 1.376 13.961
19.183 3.536 14.080
13.286 1.125 8.252
16.277 5.554 2.263
16.137 1.777 0.793
7.273 6.174 11.840
7.680 1.036 12.377
9.988 8.857 6.897
5.440 9.265 6.778
6.162 9.516 1.069
12.102 2.928 4.528
12.894 0.233 9.446
9.944 6.335 0.045
8.758 4.020 4.279
10.689 6.621 11.462
6.622 8.080 1.399
4.231 1.211 12.913
13.034 7.098 7.976
0.966 9.341 11.462
0.014 2.920 11.686
14.351 6.528 0.944
9.710 8.241 4.503
17.572 7.872 10.303
16.997 9.788 11.840
1.586 7.131 13.239
13.859 7.506 6.749
12.825 2.562 8.581
19.434 7.722 4.503
15.635 7.724 11.861
3.170 5.087 9.446
4.359 6.918 6.715
2.450 0.853 4.657
6.553 10.408 2.263
0.264 7.106 6.897
18.482 1.300 4.279
7.346 7.713 11.710
19.227 1.014 7.228
17.069 8.249 11.710
12.453 9.232 3.864
4.628 9.435 0.944
5.365 1.597 13.898
8.707 2.133 12.791
9.503 4.307 7.228
15.313 2.185 13.932
15.886 6.446 1.069
13.955 4.110 12.913
3.101 2.759 8.581
0.220 9.627 0.045
11.599 2.551 3.120
3.813 2.917 4.678
1.017 7.454 5.608
18.431 3.187 12.791
15.217 9.430 5.730
1.436 2.935 5.569
16.561 5.953 14.168
8.287 8.255 12.751
12.610 0.632 6.985
2.887 4.689 6.985
18.011 7.707 12.751
6.837 10.010 14.168
11.160 2.386 5.569
11.404 1.453 6.617
3.090 5.961 6.371
6.634 0.640 13.554
17.767 6.774 13.800
1.681 3.868 6.617
8.043 9.188 13.800
12.814 10.002 6.371
16.358 4.681 13.554
9.951 7.541 12.953
19.221 2.220 5.770
9.497 3.101 5.770
0.227 8.421 12.953
```

calculated density	0.8	g/cm³
E_form	-0.19	eV/atom
total DFT energy (no corrections)	-0.19959	Ha/atom

=====

# 2
# Cs3Ag2Sb3S8

An optimized crystal structure of Cs3Ag2Sb3S8 (PBE, Materials Project).

Cell and atoms, written as POSCAR:
```
Cs3Ag2Sb3S8
1.0
-4.903 -5.314 1.555
3.575 -0.304 10.237
-7.585 8.737 5.944
S Ag Sb Cs
16 4 6 6
Cartesian
-3.932 -2.916 12.243
-0.351 1.519 4.125
-1.664 -3.644 8.683
-2.791 -1.126 4.899
-1.640 -0.432 11.516
-7.273 3.551 6.219
-6.949 1.471 9.500
-8.562 1.600 13.610
-5.351 6.898 15.499
-1.964 1.648 8.236
-2.534 3.217 11.799
-3.562 -3.780 2.237
-6.378 -0.098 5.936
-4.981 6.035 5.492
-6.122 4.245 12.837
-7.249 6.763 9.052
-6.496 7.659 6.685
-2.417 -4.540 11.050
-8.671 5.302 7.375
-0.242 -2.183 10.360
-1.468 -0.379 2.870
-1.298 1.695 10.498
-7.615 1.423 7.238
-4.121 5.315 13.969
-4.792 -2.196 3.767
-7.445 3.498 14.865
0.291 -0.857 6.784
-4.335 -1.160 8.752
-4.806 0.575 13.195
-4.578 4.279 8.983
-9.204 3.976 10.951
-4.106 2.544 4.541
```

calculated density	4.0	g/cm³
E_form	-0.81	eV/atom
total DFT energy (no corrections)	-0.14418	Ha/atom

=====

# 3
# La4CdCo

An optimized crystal structure of La4CdCo (PBE, Materials Project).

Cell and atoms, written as POSCAR:
```
La4CdCo
1.0
-9.678 -0.735 -2.338
-6.498 6.742 3.464
-4.144 6.603 -6.237
La Cd Co
16 4 4
Cartesian
-7.879 6.418 -3.951
-15.423 12.141 -3.916
-12.946 9.571 -5.237
-17.533 9.343 -2.430
-6.837 1.667 -1.683
-4.722 4.471 -3.173
-11.548 6.139 -4.838
-15.056 6.773 -3.750
-16.636 9.290 -6.128
-3.138 1.948 -0.789
-12.441 6.192 -1.160
-8.771 6.470 -0.273
-13.844 9.624 -1.538
-10.343 8.974 -2.638
-9.977 3.635 -2.473
-5.622 4.524 0.534
-12.090 12.120 -3.107
-18.720 11.617 -4.709
-15.881 7.093 -0.436
-14.268 6.998 -7.082
-12.738 4.125 -3.150
-9.635 8.239 -5.336
-10.955 8.317 0.103
-7.311 4.537 -1.839
```

calculated density	6.9	g/cm³
E_form	-0.20	eV/atom
total DFT energy (no corrections)	-0.17746	Ha/atom

=====

# 4
# HfMg6Zn

An optimized crystal structure of HfMg6Zn (PBE, Materials Project).

Cell and atoms, written as POSCAR:
```
HfMg6Zn
1.0
-2.338 4.386 -0.231
-5.336 -2.875 -0.593
-1.204 -0.057 11.119
Mg Hf Zn
12 2 2
Cartesian
-3.015 1.447 4.416
-4.096 -2.158 0.480
-5.672 0.016 4.121
-1.000 -0.047 9.231
-3.606 1.425 9.977
-6.286 -0.019 9.679
-2.030 -0.749 6.336
-3.066 -1.456 3.375
-1.440 -0.727 0.775
-3.662 -1.485 8.880
-4.710 -2.193 6.038
-0.392 -0.019 3.617
-4.045 0.746 1.508
-1.979 2.155 7.364
-4.636 0.718 6.967
-1.366 2.184 1.704
```

calculated density	3.8	g/cm³
E_form	0.08	eV/atom
total DFT energy (no corrections)	-0.09276	Ha/atom
relative energy among the computed polymorphs	7	meV/atom

=====

# 5
# K2CuS2O14

An optimized crystal structure of K2CuS2O14 (PBE, Materials Project).

Cell and atoms, written as POSCAR:
```
K2CuS2O14
1.0
-6.219 0.000 1.286
0.119 0.000 -7.590
0.000 -13.448 0.000
O S Cu K
28 4 2 4
Cartesian
-4.498 -7.781 -6.171
-4.744 -7.761 -2.226
-4.162 -5.097 -3.612
-3.873 -5.110 -2.321
-2.286 -11.834 -0.187
-3.323 -9.090 -0.247
-5.606 -10.497 -3.530
-3.263 -11.082 -4.042
-5.665 -9.676 0.265
-4.557 -12.392 -2.376
-5.124 -12.701 -4.781
-0.434 -3.773 -6.568
-5.184 -7.471 -0.986
-1.355 -5.688 -4.077
-0.975 -0.747 -1.523
-0.494 -2.951 -2.773
-1.602 -5.667 -0.132
-2.836 -2.366 -2.261
-0.915 -5.977 -5.318
-2.777 -4.358 -6.056
-1.415 -1.036 -0.282
-3.813 -1.615 -6.116
-1.878 -11.821 -6.486
-1.937 -8.351 -2.692
-4.685 -12.412 -6.021
-1.542 -1.057 -3.927
-2.227 -8.339 -3.982
-4.222 -1.627 0.183
-1.553 -1.944 -2.766
-4.606 -8.668 0.258
-1.493 -4.780 -6.561
-4.547 -11.504 -3.537
-3.109 0.000 0.643
-3.050 -6.724 -3.152
-0.887 -11.366 -2.626
-0.828 -8.806 -6.420
-5.212 -2.082 -3.678
-5.272 -4.642 0.117
```

calculated density	2.3	g/cm³
E_form	-0.94	eV/atom
total DFT energy (no corrections)	-0.19228	Ha/atom

=====

# 6
# NaAcIn2

An optimized crystal structure of NaAcIn2 (PBE, Materials Project).

Cell and atoms, written as POSCAR:
```
NaAcIn2
1.0
4.710 -2.862 -1.082
3.430 -1.454 4.203
0.430 -5.384 1.539
In Ac Na
2 1 1
Cartesian
2.142 -2.425 1.165
6.427 -7.276 3.495
4.285 -4.850 2.330
0.000 0.000 0.000
```

calculated density	6.4	g/cm³
E_form	-0.27	eV/atom
total DFT energy (no corrections)	-0.11065	Ha/atom